The following is a DFT calculation (PBE+U) of a relaxed ZnNi2O4 crystal.

abc: 4.9981 5.7171 10.0675
angles: 90.00 90.00 90.00
Closest atoms and distances in Å follow each position.
Positions (direct):
O: 0.6697 0.7490 0.3653  3 Ni 1.98-2.09, 2 Zn 2.15-2.18
O: 0.6697 0.2510 0.6347  3 Ni 1.98-2.09, 2 Zn 2.15-2.18
O: 0.1351 0.0000 0.6480  3 Ni 1.89-1.98, 1 Zn 2.10
O: 0.3303 0.7510 0.8653  3 Ni 1.98-2.09, 2 Zn 2.15-2.18
O: 0.3303 0.2490 0.8653  3 Ni 1.98-2.09, 2 Zn 2.15-2.18
O: 0.8649 0.5000 0.1480  3 Ni 1.89-1.98, 1 Zn 2.10
O: 0.1931 0.5000 0.3473  3 Ni 1.95-1.98, 1 Zn 2.11
O: 0.3303 0.7510 0.1347  3 Ni 1.98-2.09, 2 Zn 2.15-2.18
O: 0.1931 0.5000 0.6527  3 Ni 1.95-1.98, 1 Zn 2.11
O: 0.8069 0.0000 0.1527  3 Ni 1.95-1.98, 1 Zn 2.11
O: 0.8069 0.0000 0.8473  3 Ni 1.95-1.98, 1 Zn 2.11
O: 0.3303 0.2490 0.1347  3 Ni 1.98-2.09, 2 Zn 2.15-2.18
O: 0.6697 0.7490 0.6347  3 Ni 1.98-2.09, 2 Zn 2.15-2.18
O: 0.1351 0.0000 0.3520  3 Ni 1.89-1.98, 1 Zn 2.10
O: 0.6697 0.2510 0.3653  3 Ni 1.98-2.09, 2 Zn 2.15-2.18
O: 0.8649 0.5000 0.8520  3 Ni 1.89-1.98, 1 Zn 2.10
Ni: 0.4892 0.0000 0.2644  6 O 1.95-2.09
Ni: 0.4892 0.0000 0.7356  6 O 1.95-2.09
Ni: 0.0000 0.2500 0.2500  6 O 1.89-2.02
Ni: 0.0000 0.7500 0.2500  6 O 1.89-2.02
Ni: 0.0000 0.2500 0.7500  6 O 1.89-2.02
Ni: 0.5108 0.5000 0.7644  6 O 1.95-2.09
Ni: 0.0000 0.7500 0.7500  6 O 1.89-2.02
Ni: 0.5108 0.5000 0.2356  6 O 1.95-2.09
Zn: 0.5175 0.0000 0.0000  6 O 2.11-2.18
Zn: 0.8399 0.0000 0.5000  6 O 2.10-2.15
Zn: 0.1601 0.5000 0.0000  6 O 2.10-2.15
Zn: 0.4825 0.5000 0.5000  6 O 2.11-2.18

Output
**Magnetization**: 0.29 μB per atom
**Energy relative to the lowest polymorph listed for this composition**: 0.131 eV/atom
**Total DFT energy (no corrections)**: -4.64 eV per atom